{
  "formula": "Tb4MgW2O12",
  "functional": "PBE with a Hubbard U",
  "state": "optimized geometry",
  "relative_energy_mev_per_atom": 0.0,
  "crystal_system": "triclinic",
  "formation_energy_kj_per_mol_atoms": -307.25,
  "magmom_total_mub_per_fu": 0.0,
  "lattice_angstrom": [[5.4771, 0.0000, 0.0000], [0.1114, 5.7395, 0.0000], [0.0529, 0.4634, 8.3074]],
  "species": ["Tb", "Tb", "Tb", "Tb", "Mg", "W", "W", "O", "O", "O", "O", "O", "O", "O", "O", "O", "O", "O", "O"],
  "frac_coords": [[0.0000, 0.0000, 0.0000], [0.0497, 0.4869, 0.2667], [0.4992, 0.9819, 0.2707], [0.5536, 0.4850, 0.0106], [0.5164, 0.8877, 0.7483], [0.0137, 0.7950, 0.6201], [0.5499, 0.3375, 0.6111], [0.1756, 0.8128, 0.4222], [0.1870, 0.0371, 0.7359], [0.2726, 0.2366, 0.1102], [0.2794, 0.7421, 0.0993], [0.3440, 0.5906, 0.7113], [0.3614, 0.3116, 0.4294], [0.6458, 0.2051, 0.8211], [0.7104, 0.9971, 0.5434], [0.7711, 0.7413, 0.1565], [0.7798, 0.2386, 0.1631], [0.8240, 0.7187, 0.8198], [0.8308, 0.5052, 0.5233]]
}